Pr2ZnHg: optimized geometry, PBE-GGA.

The space group is Fm-3m (No. 225) and the conventional cell measures 7.612, 7.612 and 7.612 Å, with angles of 90.00, 90.00 and 90.00 degrees. Symmetry generates all atoms from Pr at (0.250, 0.250, 0.250), Zn at (0.000, 0.000, 0.000) and Hg at (0.000, 0.000, 0.500).

Its crystal system is cubic. The formation energy is -0.3719 eV per atom. The value obtained for the calculated total energy is -3.1532 eV per atom. The value obtained for the size of the total moment is 0.67 μB/f.u. As for the density: 8.25 g/cm³.